[1]
The following is a PBE+U calculation of a relaxed CrO3 crystal, from Materials Project.

Cell: 5.703 5.703 11.070 Å, 90.00 90.00 120.00°
Fractional coordinates of all 24 atoms:
Cr: 0.000 0.344 0.000
Cr: 0.000 0.656 0.500
Cr: 0.344 0.000 0.000
Cr: 0.344 0.344 0.500
Cr: 0.656 0.000 0.500
Cr: 0.656 0.656 0.000
O: 0.000 0.000 0.452
O: 0.000 0.000 0.952
O: 0.000 0.219 0.143
O: 0.000 0.371 0.854
O: 0.000 0.629 0.354
O: 0.000 0.781 0.643
O: 0.219 0.000 0.143
O: 0.219 0.219 0.643
O: 0.333 0.667 0.031
O: 0.333 0.667 0.531
O: 0.371 0.000 0.854
O: 0.371 0.371 0.354
O: 0.629 0.000 0.354
O: 0.629 0.629 0.854
O: 0.667 0.333 0.031
O: 0.667 0.333 0.531
O: 0.781 0.000 0.643
O: 0.781 0.781 0.143

Summary:
As for the final energy: -5.881 eV per atom. As for the symmetry: P6_3cm. As for the formation energy: -0.77 eV per atom.

=====

[2]
The following is a PBE+U calculation of a relaxed NiP2H16O10 crystal, from Materials Project.

Cell: 7.267 7.267 10.410 Å, 91.78 91.78 90.06°
Fractional coordinates of all 58 atoms:
Ni: 0.234 0.766 0.750
Ni: 0.766 0.234 0.250
P: 0.250 0.279 0.990
P: 0.279 0.250 0.490
P: 0.721 0.750 0.510
P: 0.750 0.721 0.010
H: 0.040 0.452 0.805
H: 0.041 0.075 0.807
H: 0.073 0.438 0.306
H: 0.075 0.041 0.307
H: 0.138 0.767 0.996
H: 0.141 0.257 0.583
H: 0.233 0.862 0.504
H: 0.240 0.639 0.505
H: 0.251 0.446 0.063
H: 0.257 0.141 0.083
H: 0.361 0.760 0.995
H: 0.434 0.455 0.804
H: 0.438 0.073 0.806
H: 0.446 0.251 0.563
H: 0.452 0.040 0.305
H: 0.455 0.434 0.304
H: 0.545 0.566 0.696
H: 0.548 0.960 0.695
H: 0.554 0.749 0.437
H: 0.562 0.927 0.194
H: 0.566 0.545 0.196
H: 0.639 0.240 0.005
H: 0.743 0.859 0.917
H: 0.749 0.554 0.937
H: 0.760 0.361 0.495
H: 0.767 0.138 0.496
H: 0.859 0.743 0.417
H: 0.862 0.233 0.004
H: 0.925 0.959 0.693
H: 0.927 0.562 0.694
H: 0.959 0.925 0.193
H: 0.960 0.548 0.195
O: 0.031 0.567 0.758
O: 0.036 0.964 0.750
O: 0.066 0.265 0.913
O: 0.202 0.752 0.553
O: 0.248 0.798 0.947
O: 0.265 0.066 0.413
O: 0.270 0.425 0.411
O: 0.425 0.270 0.911
O: 0.433 0.969 0.742
O: 0.435 0.565 0.750
O: 0.565 0.435 0.250
O: 0.567 0.031 0.258
O: 0.575 0.730 0.089
O: 0.730 0.575 0.589
O: 0.735 0.934 0.587
O: 0.752 0.202 0.053
O: 0.798 0.248 0.447
O: 0.934 0.735 0.087
O: 0.964 0.036 0.250
O: 0.969 0.433 0.242

Summary:
As for the final energy: -5.094 eV per atom. As for the symmetry: C2/c. As for the formation energy: -1.27 eV per atom.

=====

[3]
The following is a PBE+U calculation of a relaxed LiMo4P4O22 crystal, from Materials Project.

Cell: 6.474 7.574 9.096 Å, 105.73 90.25 90.55°
Fractional coordinates of all 31 atoms:
Li: 0.000 0.000 0.000
Mo: 0.247 0.891 0.297
Mo: 0.255 0.669 0.853
Mo: 0.745 0.331 0.147
Mo: 0.753 0.109 0.703
P: 0.247 0.424 0.117
P: 0.249 0.010 0.675
P: 0.751 0.990 0.325
P: 0.753 0.576 0.883
O: 0.060 0.292 0.110
O: 0.063 0.140 0.690
O: 0.233 0.861 0.092
O: 0.234 0.918 0.810
O: 0.241 0.533 0.672
O: 0.243 0.592 0.251
O: 0.244 0.124 0.362
O: 0.250 0.474 0.960
O: 0.253 0.863 0.521
O: 0.441 0.303 0.117
O: 0.445 0.134 0.700
O: 0.555 0.866 0.300
O: 0.559 0.697 0.883
O: 0.747 0.137 0.479
O: 0.750 0.526 0.040
O: 0.756 0.876 0.638
O: 0.757 0.408 0.749
O: 0.759 0.467 0.328
O: 0.766 0.082 0.190
O: 0.767 0.139 0.908
O: 0.937 0.860 0.310
O: 0.940 0.708 0.890

Summary:
As for the final energy: -7.071 eV per atom. As for the symmetry: P-1. As for the formation energy: -2.30 eV per atom.

=====

> Which value of final energy does entry 3 give?

-7.071 eV per atom

=====

> Among the records above, which one has the lowest final energy?

LiMo4P4O22

=====

> What is the final energy in the third record?

-7.071 eV per atom

=====

> What is the formula in the first record?

CrO3